Entry from the Materials Project database: crystalline LiSnP4O12 at its relaxed geometry (PBE-GGA).

a = 9.5579 Å, b = 9.5579 Å, c = 9.5176 Å
α = 90.00°, β = 90.00°, γ = 90.00°
Last column: nearest neighbours and their distance in Å.
Space group P4_2/nnm (No. 134, origin choice 2)
Symmetry-distinct sites (fractional):
Li  0.0000  0.0000  0.0000  4 O 2.15
Sn  0.2500  0.2500  0.0000  8 O 2.35-2.45
P  0.0270  0.7500  0.2500  4 O 1.50-1.64
P  0.0338  0.7500  0.7500  4 O 1.51-1.62
O  0.0428  0.1774  0.1324  1 P 1.51
O  0.0499  0.1863  0.6285  1 P 1.50
O  0.1340  0.6340  0.3166  2 P 1.64
O  0.1392  0.6392  0.8223  2 P 1.62

Formation energy = -2.46 eV/atom
Excess energy over the best structure of this formula in the dataset = 38.6 meV/atom
VASP energy = -6.836 eV per atom

***

Entry from the Materials Project database: crystalline Ti2Rh at its relaxed geometry (PBE-GGA).

a = 3.0721 Å, b = 3.0721 Å, c = 9.8608 Å
α = 90.00°, β = 90.00°, γ = 90.00°
Last column: nearest neighbours and their distance in Å.
Space group I4/mmm (No. 139)
Symmetry-distinct sites (fractional):
Ti  0.0000  0.0000  0.1618  4 Rh 2.70, 4 Ti 2.78
Rh  0.0000  0.0000  0.5000  8 Ti 2.70

Formation energy = -0.63 eV/atom
VASP energy = -8.344 eV per atom